(1)
! r²SCAN Li2Mg, optimized geometry; values from VASP
&SYSTEM
  ibrav = 0, nat = 6, ntyp = 2
/
ATOMIC_SPECIES
Mg 24.30 Mg.upf
Li 6.94 Li.upf
CELL_PARAMETERS angstrom
1.556 -2.695 0.000
1.556 2.695 0.000
0.000 0.000 15.151
ATOMIC_POSITIONS crystal
Mg 0.667 0.333 0.413
Li 0.667 0.333 0.752
Li 0.333 0.667 0.916
Mg 0.333 0.667 0.587
Li 0.667 0.333 0.084
Li 0.333 0.667 0.248
! **Magnetic moment**: 0.0 μB/f.u.
! **Symmetry**: P-3m1, No. 164
! **ΔE_f**: -0.0077 eV per atom

---

(2)
! r²SCAN DySnAu, optimized geometry; values from VASP
&SYSTEM
  ibrav = 0, nat = 6, ntyp = 3
/
ATOMIC_SPECIES
Dy 162.50 Dy.upf
Sn 118.71 Sn.upf
Au 196.97 Au.upf
CELL_PARAMETERS angstrom
2.331 -4.038 0.000
2.331 4.038 0.000
0.000 0.000 7.449
ATOMIC_POSITIONS crystal
Dy 0.000 0.000 0.747
Sn 0.667 0.333 0.973
Au 0.333 0.667 0.078
Sn 0.333 0.667 0.473
Dy 0.000 0.000 0.247
Au 0.667 0.333 0.578
! **Magnetic moment**: 0.0 μB/f.u.
! **Symmetry**: P6_3mc, No. 186
! **ΔE_f**: -0.9210 eV per atom

---

(3)
! r²SCAN EuAs3, optimized geometry; values from VASP
&SYSTEM
  ibrav = 0, nat = 8, ntyp = 2
/
ATOMIC_SPECIES
As 74.92 As.upf
Eu 151.96 Eu.upf
CELL_PARAMETERS angstrom
1.460 2.440 5.012
1.817 -4.456 3.673
6.011 0.720 -0.068
ATOMIC_POSITIONS crystal
As 0.199 0.366 0.910
As 0.801 0.090 0.634
As 0.199 0.910 0.366
As 0.801 0.634 0.090
Eu 0.669 0.165 0.165
Eu 0.331 0.835 0.835
As 0.780 0.508 0.508
As 0.220 0.492 0.492
! **Magnetic moment**: 6.9 μB/f.u.
! **Symmetry**: C2/m, No. 12
! **ΔE_f**: -0.7516 eV per atom

---

(4)
! r²SCAN SmFeC2, optimized geometry; values from VASP
&SYSTEM
  ibrav = 0, nat = 4, ntyp = 3
/
ATOMIC_SPECIES
Sm 150.36 Sm.upf
Fe 55.84 Fe.upf
C 12.01 C.upf
CELL_PARAMETERS angstrom
-3.783 0.000 0.000
0.000 -2.278 -3.010
0.000 -2.278 3.010
ATOMIC_POSITIONS crystal
Sm 0.000 0.992 0.008
Fe 0.500 0.392 0.608
C 0.500 0.855 0.453
C 0.500 0.547 0.145
! **Magnetic moment**: 1.8 μB/f.u.
! **Symmetry**: Amm2, No. 38
! **ΔE_f**: -0.2326 eV per atom

---

(5)
! r²SCAN Sr2Co2O5, optimized geometry; values from VASP
&SYSTEM
  ibrav = 0, nat = 18, ntyp = 3
/
ATOMIC_SPECIES
O 16.00 O.upf
Sr 87.62 Sr.upf
Co 58.93 Co.upf
CELL_PARAMETERS angstrom
5.341 0.048 0.000
-0.092 5.426 0.006
-2.628 -2.709 8.102
ATOMIC_POSITIONS crystal
O 0.238 0.249 0.994
Sr 0.601 0.118 0.222
Co 0.988 0.000 0.000
O 0.622 0.613 0.291
O 0.632 0.134 0.500
O 0.132 0.864 0.500
O 0.332 0.387 0.708
O 0.842 0.839 0.721
Sr 0.102 0.602 0.223
O 0.122 0.162 0.280
O 0.731 0.254 0.993
O 0.247 0.749 0.007
Sr 0.379 0.882 0.778
Sr 0.878 0.398 0.777
O 0.740 0.749 0.006
Co 0.777 0.813 0.503
Co 0.274 0.186 0.497
Co 0.488 0.500 0.000
! **Magnetic moment**: 6.9 μB/f.u.
! **Symmetry**: P1, No. 1
! **ΔE_f**: -2.0887 eV per atom

---

(6)
! r²SCAN SiO2, optimized geometry; values from VASP
&SYSTEM
  ibrav = 0, nat = 48, ntyp = 2
/
ATOMIC_SPECIES
O 16.00 O.upf
Si 28.09 Si.upf
CELL_PARAMETERS angstrom
-5.444 -4.858 7.794
0.845 -2.292 -10.393
8.222 -6.013 1.995
ATOMIC_POSITIONS crystal
O 0.500 0.000 0.500
O 0.401 0.149 0.406
O 0.960 0.040 0.875
O 0.286 0.714 0.618
O 0.099 0.351 0.906
Si 0.526 0.114 0.385
O 0.599 0.851 0.594
O 0.149 0.401 0.594
O 0.000 0.500 0.000
Si 0.726 0.633 0.383
Si 0.133 0.226 0.883
O 0.258 0.258 0.500
O 0.742 0.742 0.500
O 0.983 0.517 0.250
O 0.517 0.983 0.750
Si 0.474 0.886 0.615
O 0.460 0.540 0.625
O 0.214 0.786 0.118
O 0.758 0.758 0.000
O 0.786 0.214 0.882
O 0.040 0.960 0.125
Si 0.633 0.726 0.617
Si 0.114 0.526 0.615
Si 0.386 0.974 0.115
Si 0.774 0.867 0.883
O 0.500 0.000 0.000
O 0.242 0.242 0.000
Si 0.226 0.133 0.117
O 0.017 0.483 0.750
O 0.769 0.731 0.250
Si 0.614 0.026 0.885
Si 0.274 0.367 0.617
Si 0.867 0.774 0.117
Si 0.974 0.386 0.885
O 0.269 0.231 0.250
O 0.649 0.901 0.906
O 0.231 0.269 0.750
O 0.714 0.286 0.382
O 0.351 0.099 0.094
O 0.000 0.500 0.500
O 0.483 0.017 0.250
O 0.540 0.460 0.375
O 0.851 0.599 0.406
Si 0.886 0.474 0.385
Si 0.026 0.614 0.115
Si 0.367 0.274 0.383
O 0.901 0.649 0.094
O 0.731 0.769 0.750
! **Magnetic moment**: 0.0 μB/f.u.
! **Symmetry**: Cmce, No. 64
! **ΔE_f**: -3.0154 eV per atom

---

(7)
! r²SCAN LiBeH3, optimized geometry; values from VASP
&SYSTEM
  ibrav = 0, nat = 10, ntyp = 3
/
ATOMIC_SPECIES
Li 6.94 Li.upf
H 1.01 H.upf
Be 9.01 Be.upf
CELL_PARAMETERS angstrom
1.949 4.569 -0.004
-1.949 4.569 -0.004
0.000 0.884 5.064
ATOMIC_POSITIONS crystal
Li 0.807 0.942 0.368
H 0.013 0.140 0.276
H 0.262 0.382 0.330
Be 0.097 0.347 0.150
H 0.618 0.738 0.670
H 0.860 0.987 0.724
Be 0.653 0.903 0.850
H 0.270 0.255 0.888
Li 0.058 0.193 0.632
H 0.745 0.730 0.112
! **Magnetic moment**: 0.0 μB/f.u.
! **ΔE to the lowest computed polymorph**: 12.0 meV per atom
! **Symmetry**: C2, No. 5
! **ΔE_f**: -0.2751 eV per atom

---

(8)
! r²SCAN Sm3Co2Ge4, optimized geometry; values from VASP
&SYSTEM
  ibrav = 0, nat = 9, ntyp = 3
/
ATOMIC_SPECIES
Sm 150.36 Sm.upf
Ge 72.64 Ge.upf
Co 58.93 Co.upf
CELL_PARAMETERS angstrom
-1.211 -1.600 -3.626
5.168 -2.239 1.630
-5.719 -4.307 3.810
ATOMIC_POSITIONS crystal
Sm 0.000 0.000 0.000
Ge 0.289 0.579 0.918
Ge 0.711 0.421 0.082
Sm 0.381 0.762 0.309
Co 0.697 0.393 0.372
Co 0.303 0.607 0.628
Sm 0.619 0.238 0.691
Ge 0.106 0.213 0.397
Ge 0.894 0.787 0.603
! **Magnetic moment**: 0.0 μB/f.u.
! **Symmetry**: C2/m, No. 12
! **ΔE_f**: -0.7041 eV per atom

---

(9)
! r²SCAN P3W2O12, optimized geometry; values from VASP
&SYSTEM
  ibrav = 0, nat = 34, ntyp = 3
/
ATOMIC_SPECIES
W 183.84 W.upf
O 16.00 O.upf
P 30.97 P.upf
CELL_PARAMETERS angstrom
-8.685 -1.411 -1.015
-3.096 -5.059 -6.579
-3.584 -7.940 1.605
ATOMIC_POSITIONS crystal
W 0.858 0.858 0.858
O 0.006 0.781 0.633
P 0.035 0.750 0.465
W 0.358 0.358 0.358
W 0.642 0.642 0.642
O 0.935 0.081 0.712
O 0.219 0.367 0.994
O 0.781 0.633 0.006
O 0.423 0.558 0.791
O 0.065 0.919 0.288
P 0.535 0.965 0.250
O 0.712 0.935 0.081
O 0.791 0.423 0.558
W 0.142 0.142 0.142
O 0.725 0.493 0.863
O 0.137 0.275 0.507
O 0.577 0.442 0.209
O 0.633 0.006 0.781
O 0.863 0.725 0.493
O 0.507 0.137 0.275
O 0.209 0.577 0.442
O 0.994 0.219 0.367
O 0.442 0.209 0.577
O 0.367 0.994 0.219
O 0.275 0.507 0.137
O 0.919 0.288 0.065
O 0.081 0.712 0.935
P 0.750 0.465 0.035
O 0.288 0.065 0.919
O 0.558 0.791 0.423
O 0.493 0.863 0.725
P 0.965 0.250 0.535
P 0.250 0.535 0.965
P 0.465 0.035 0.750
! **Magnetic moment**: 3.0 μB/f.u.
! **Symmetry**: R-3, No. 148
! **ΔE_f**: -2.2472 eV per atom

---

(10)
! r²SCAN Ho2NiB10, optimized geometry; values from VASP
&SYSTEM
  ibrav = 0, nat = 26, ntyp = 3
/
ATOMIC_SPECIES
B 10.81 B.upf
Ni 58.69 Ni.upf
Ho 164.93 Ho.upf
CELL_PARAMETERS angstrom
-2.297 -0.168 3.425
-4.489 1.268 -2.948
-1.864 -10.727 -1.776
ATOMIC_POSITIONS crystal
B 0.302 0.800 0.886
B 0.000 0.374 0.041
B 0.000 0.874 0.459
B 0.302 0.700 0.386
Ni 0.000 0.000 0.000
B 0.698 0.200 0.114
B 0.000 0.839 0.301
B 0.302 0.200 0.114
Ho 0.500 0.184 0.362
B 0.000 0.526 0.314
B 0.000 0.126 0.541
B 0.000 0.026 0.186
B 0.000 0.974 0.814
Ho 0.500 0.684 0.138
B 0.000 0.661 0.801
B 0.000 0.339 0.199
Ni 0.000 0.500 0.500
B 0.000 0.474 0.686
B 0.698 0.300 0.614
B 0.000 0.626 0.959
Ho 0.500 0.316 0.862
Ho 0.500 0.816 0.638
B 0.698 0.800 0.886
B 0.698 0.700 0.386
B 0.302 0.300 0.614
B 0.000 0.161 0.699
! **Magnetic moment**: 0.0 μB/f.u.
! **Symmetry**: Pbam, No. 55
! **ΔE_f**: -0.5621 eV per atom

---

(11)
! r²SCAN Na6MgO4, optimized geometry; values from VASP
&SYSTEM
  ibrav = 0, nat = 22, ntyp = 3
/
ATOMIC_SPECIES
Na 22.99 Na.upf
O 16.00 O.upf
Mg 24.30 Mg.upf
CELL_PARAMETERS angstrom
7.357 0.000 0.000
0.000 7.357 0.000
0.000 0.000 5.416
ATOMIC_POSITIONS crystal
Na 0.287 0.713 0.500
O 0.743 0.500 0.184
O 0.000 0.243 0.684
O 0.000 0.757 0.684
O 0.257 0.500 0.184
O 0.500 0.743 0.816
Na 0.213 0.213 0.000
Na 0.500 0.000 0.083
Na 0.213 0.787 0.000
O 0.500 0.257 0.816
O 0.757 0.000 0.316
Na 0.787 0.787 0.000
Na 0.713 0.713 0.500
Na 0.000 0.500 0.917
Na 0.713 0.287 0.500
Na 0.000 0.500 0.417
Na 0.500 0.000 0.583
O 0.243 0.000 0.316
Mg 0.500 0.500 0.000
Na 0.287 0.287 0.500
Mg 0.000 0.000 0.500
Na 0.787 0.213 0.000
! **Magnetic moment**: 0.0 μB/f.u.
! **Symmetry**: P4_2/nmc, No. 137
! **ΔE_f**: -1.6569 eV per atom

---

(12)
! r²SCAN La3Pm, optimized geometry; values from VASP
&SYSTEM
  ibrav = 0, nat = 4, ntyp = 2
/
ATOMIC_SPECIES
La 138.91 La.upf
Pm 145.00 Pm.upf
CELL_PARAMETERS angstrom
-2.640 2.640 5.255
2.640 -2.640 5.255
2.640 2.640 -5.255
ATOMIC_POSITIONS crystal
La 0.250 0.750 0.500
La 0.750 0.250 0.500
La 0.500 0.500 0.000
Pm 0.000 0.000 0.000
! **Magnetic moment**: 0.0 μB/f.u.
! **Symmetry**: I4/mmm, No. 139
! **ΔE_f**: 0.0239 eV per atom

---

- The highest ΔE_f belongs to which entry?
  La3Pm